[1]
Below is a relaxed Ca7TlN4 crystal, with properties calculated at the meta-GGA r2SCAN level.

Summary:
Total moment ... 0.00 μB per formula unit
Electronic total energy ... -149.77 eV/f.u.

```
data_Ca7TlN4
_chemical_formula_sum 'Ca14 Tl2 N8'
_symmetry_space_group_name_H-M 'P 21 21 2'
_symmetry_Int_Tables_number 18
_symmetry_space_group_name_Hall 'P 2 2ab'
_cell_length_a 11.6336
_cell_length_b 12.0080
_cell_length_c 3.6237
_cell_angle_alpha 90.00
_cell_angle_beta 90.00
_cell_angle_gamma 90.00
loop_
_atom_site_label
_atom_site_fract_x
_atom_site_fract_y
_atom_site_fract_z
Ca1 0.0000 0.0000 0.9997
Ca2 0.0243 0.2339 0.5000
Ca3 0.2329 0.8263 0.0001
Ca4 0.2336 0.0686 0.4997
Tl1 0.0000 0.5000 0.0071
N1 0.1281 0.8968 0.5000
N2 0.1433 0.1666 0.9998
```


[2]
Below is a relaxed Ca3VN3 crystal, with properties calculated at the meta-GGA r2SCAN level.

Summary:
Total moment ... 0.00 μB per formula unit
Electronic total energy ... -71.46 eV/f.u.

```
data_Ca3VN3
_chemical_formula_sum 'Ca12 V4 N12'
_symmetry_space_group_name_H-M 'C m c m'
_symmetry_Int_Tables_number 63
_symmetry_space_group_name_Hall '-C 2c 2'
_cell_length_a 8.5129
_cell_length_b 10.3604
_cell_length_c 5.0633
_cell_angle_alpha 90.00
_cell_angle_beta 90.00
_cell_angle_gamma 90.00
loop_
_atom_site_label
_atom_site_fract_x
_atom_site_fract_y
_atom_site_fract_z
Ca1 0.0000 0.1082 0.2500
Ca2 0.2139 0.3846 0.2500
V1 0.0000 0.3028 0.7500
N1 0.0000 0.1271 0.7500
N2 0.1933 0.3759 0.7500
```


Energy relative to the elements values, unit eV/atom, following the record order: -0.9005 -1.2676.